{"formula": "La2ZnNiO6", "functional": "PBE with a Hubbard U", "state": "relaxed", "formation_energy_mev_per_atom": -2538, "sg": "R-3 (148)", "energy_corrected_mp2020_ev_per_atom": -7.1984, "dft_energy_ev_per_atom": -6.53, "lattice": [[2.7703, 1.5994, 4.3833], [-2.7703, 1.5994, 4.3833], [0.0000, -3.1989, 4.3833]], "species": ["La", "La", "Zn", "Ni", "O", "O", "O", "O", "O", "O"], "frac_coords": [[0.2489, 0.2489, 0.2489], [0.7511, 0.7511, 0.7511], [0.5000, 0.5000, 0.5000], [0.0000, 0.0000, 0.0000], [0.1730, 0.7648, 0.3057], [0.2352, 0.6943, 0.8270], [0.3057, 0.1730, 0.7648], [0.6943, 0.8270, 0.2352], [0.7648, 0.3057, 0.1730], [0.8270, 0.2352, 0.6943]]}


{"formula": "FeSi2C4Cl6O4", "functional": "PBE with a Hubbard U", "state": "relaxed", "formation_energy_mev_per_atom": -886, "sg": "P2_1/c (14)", "energy_corrected_mp2020_ev_per_atom": -6.0110, "dft_energy_ev_per_atom": -5.72, "lattice": [[8.5246, 0.0000, 0.0000], [0.0000, 10.1075, 0.0000], [-7.5313, 0.0000, 9.2159]], "species": ["Fe", "Fe", "Si", "Si", "Si", "Si", "C", "C", "C", "C", "C", "C", "C", "C", "Cl", "Cl", "Cl", "Cl", "Cl", "Cl", "Cl", "Cl", "Cl", "Cl", "Cl", "Cl", "O", "O", "O", "O", "O", "O", "O", "O"], "frac_coords": [[0.0000, 0.0000, 0.0000], [0.0000, 0.5000, 0.5000], [0.2095, 0.1597, 0.0078], [0.2095, 0.3403, 0.5078], [0.7905, 0.6597, 0.4922], [0.7905, 0.8403, 0.9922], [0.1275, 0.6260, 0.4741], [0.1275, 0.8740, 0.9741], [0.1838, 0.5225, 0.6967], [0.1838, 0.9775, 0.1967], [0.8162, 0.0225, 0.8033], [0.8162, 0.4775, 0.3033], [0.8725, 0.1260, 0.0259], [0.8725, 0.3740, 0.5259], [0.1127, 0.1459, 0.4783], [0.1127, 0.3541, 0.9783], [0.2399, 0.1328, 0.8494], [0.2399, 0.3672, 0.3494], [0.4945, 0.6605, 0.2996], [0.4945, 0.8395, 0.7996], [0.5055, 0.1605, 0.2004], [0.5055, 0.3395, 0.7004], [0.7601, 0.6328, 0.6506], [0.7601, 0.8672, 0.1506], [0.8873, 0.6459, 0.0217], [0.8873, 0.8541, 0.5217], [0.2082, 0.7048, 0.4572], [0.2082, 0.7952, 0.9572], [0.2982, 0.5362, 0.8205], [0.2982, 0.9638, 0.3205], [0.7018, 0.0362, 0.6795], [0.7018, 0.4638, 0.1795], [0.7918, 0.2048, 0.0428], [0.7918, 0.2952, 0.5428]]}


{"formula": "LiV2F9", "functional": "PBE with a Hubbard U", "state": "relaxed", "formation_energy_mev_per_atom": -3017, "sg": "Pnma (62)", "energy_corrected_mp2020_ev_per_atom": -6.1259, "dft_energy_ev_per_atom": -5.50, "lattice": [[7.8360, 0.0000, 0.0000], [0.0000, 10.7621, 0.0000], [0.0000, 0.0000, 8.2128]], "species": ["Li", "Li", "Li", "Li", "V", "V", "V", "V", "V", "V", "V", "V", "F", "F", "F", "F", "F", "F", "F", "F", "F", "F", "F", "F", "F", "F", "F", "F", "F", "F", "F", "F", "F", "F", "F", "F", "F", "F", "F", "F", "F", "F", "F", "F", "F", "F", "F", "F"], "frac_coords": [[0.0211, 0.2500, 0.1191], [0.4789, 0.7500, 0.6191], [0.5211, 0.2500, 0.3809], [0.9789, 0.7500, 0.8809], [0.1111, 0.0690, 0.7517], [0.1111, 0.4310, 0.7517], [0.3889, 0.5690, 0.2517], [0.3889, 0.9310, 0.2517], [0.6111, 0.0690, 0.7483], [0.6111, 0.4310, 0.7483], [0.8889, 0.5690, 0.2483], [0.8889, 0.9310, 0.2483], [0.1005, 0.2500, 0.7318], [0.1088, 0.6021, 0.7799], [0.1088, 0.8979, 0.7799], [0.1130, 0.0783, 0.5370], [0.1130, 0.4217, 0.5370], [0.1227, 0.1086, 0.9685], [0.1227, 0.3914, 0.9685], [0.1374, 0.5731, 0.2400], [0.1374, 0.9269, 0.2400], [0.3626, 0.0731, 0.7400], [0.3626, 0.4269, 0.7400], [0.3773, 0.6086, 0.4685], [0.3773, 0.8914, 0.4685], [0.3870, 0.5783, 0.0370], [0.3870, 0.9217, 0.0370], [0.3912, 0.1021, 0.2799], [0.3912, 0.3979, 0.2799], [0.3995, 0.7500, 0.2318], [0.6005, 0.2500, 0.7682], [0.6088, 0.6021, 0.7201], [0.6088, 0.8979, 0.7201], [0.6130, 0.0783, 0.9630], [0.6130, 0.4217, 0.9630], [0.6227, 0.1086, 0.5315], [0.6227, 0.3914, 0.5315], [0.6374, 0.5731, 0.2600], [0.6374, 0.9269, 0.2600], [0.8626, 0.0731, 0.7600], [0.8626, 0.4269, 0.7600], [0.8773, 0.6086, 0.0315], [0.8773, 0.8914, 0.0315], [0.8870, 0.5783, 0.4630], [0.8870, 0.9217, 0.4630], [0.8912, 0.1021, 0.2201], [0.8912, 0.3979, 0.2201], [0.8995, 0.7500, 0.2682]]}


{"formula": "K2CrAuF6", "functional": "PBE with a Hubbard U", "state": "relaxed", "formation_energy_mev_per_atom": -2536, "sg": "Fm-3m (225)", "energy_corrected_mp2020_ev_per_atom": -5.1993, "dft_energy_ev_per_atom": -4.72, "lattice": [[0.0000, 4.3775, 4.3775], [4.3775, 0.0000, 4.3775], [4.3775, 4.3775, 0.0000]], "species": ["K", "K", "Cr", "Au", "F", "F", "F", "F", "F", "F"], "frac_coords": [[0.2500, 0.2500, 0.2500], [0.7500, 0.7500, 0.7500], [0.0000, 0.0000, 0.0000], [0.5000, 0.5000, 0.5000], [0.2214, 0.2214, 0.7786], [0.2214, 0.7786, 0.2214], [0.2214, 0.7786, 0.7786], [0.7786, 0.2214, 0.2214], [0.7786, 0.2214, 0.7786], [0.7786, 0.7786, 0.2214]]}


Which formula does entry 3 have?
LiV2F9